1.
A relaxed NdCuS2 crystal. Source: Materials Project, functional PBE.

Summary:
**Space group**: P2_1/c, No. 14
**Formation enthalpy at 0 K**: -6.51 eV per formula unit

Cell lengths 6.512, 7.204, 6.889 Å; angles 90.00, 97.54, 90.00 degrees
Fractional coordinates of all 16 atoms:
Nd (0.191, 0.050, 0.300)
Nd (0.191, 0.450, 0.800)
Nd (0.809, 0.550, 0.200)
Nd (0.809, 0.950, 0.700)
Cu (0.426, 0.664, 0.451)
Cu (0.426, 0.836, 0.951)
Cu (0.574, 0.164, 0.049)
Cu (0.574, 0.336, 0.549)
S (0.085, 0.726, 0.499)
S (0.085, 0.774, 0.999)
S (0.410, 0.114, 0.722)
S (0.410, 0.386, 0.222)
S (0.590, 0.614, 0.778)
S (0.590, 0.886, 0.278)
S (0.915, 0.226, 0.001)
S (0.915, 0.274, 0.501)

2.
A relaxed Nd3CuSiS7 crystal. Source: Materials Project, functional PBE.

Summary:
**Space group**: P6_3, No. 173
**Formation enthalpy at 0 K**: -22.11 eV per formula unit

Cell lengths 10.194, 10.194, 5.793 Å; angles 90.00, 90.00, 120.00 degrees
Fractional coordinates of all 24 atoms:
Nd (0.125, 0.357, 0.000)
Nd (0.232, 0.875, 0.000)
Nd (0.357, 0.232, 0.500)
Nd (0.643, 0.768, 0.000)
Nd (0.768, 0.125, 0.500)
Nd (0.875, 0.643, 0.500)
Cu (0.000, 0.000, 0.474)
Cu (0.000, 0.000, 0.974)
Si (0.333, 0.667, 0.586)
Si (0.667, 0.333, 0.086)
S (0.087, 0.252, 0.485)
S (0.112, 0.588, 0.730)
S (0.164, 0.913, 0.485)
S (0.252, 0.164, 0.985)
S (0.333, 0.667, 0.221)
S (0.412, 0.524, 0.730)
S (0.476, 0.888, 0.730)
S (0.524, 0.112, 0.230)
S (0.588, 0.476, 0.230)
S (0.667, 0.333, 0.721)
S (0.748, 0.836, 0.485)
S (0.836, 0.087, 0.985)
S (0.888, 0.412, 0.230)
S (0.913, 0.748, 0.985)

3.
A relaxed Nd5CuSe8 crystal. Source: Materials Project, functional PBE.

Summary:
**Piezoelectric modulus e_max**: 0.33 C/m²
**Space group**: I-4, No. 82
**Formation enthalpy at 0 K**: -26.62 eV per formula unit

Cell lengths 7.701, 7.701, 7.701 Å; angles 110.31, 110.31, 107.80 degrees
Fractional coordinates of all 14 atoms:
Nd (0.000, 0.000, 0.000)
Nd (0.133, 0.252, 0.623)
Nd (0.489, 0.867, 0.119)
Nd (0.629, 0.511, 0.377)
Nd (0.748, 0.371, 0.881)
Cu (0.250, 0.750, 0.500)
Se (0.011, 0.615, 0.759)
Se (0.228, 0.488, 0.129)
Se (0.359, 0.099, 0.871)
Se (0.385, 0.143, 0.396)
Se (0.512, 0.641, 0.740)
Se (0.748, 0.989, 0.604)
Se (0.857, 0.252, 0.241)
Se (0.901, 0.772, 0.260)

4.
A relaxed NdCuSe2 crystal. Source: Materials Project, functional PBE.

Summary:
**Space group**: P2_1/c, No. 14
**Formation enthalpy at 0 K**: -5.90 eV per formula unit

Cell lengths 6.745, 7.509, 7.220 Å; angles 90.00, 96.53, 90.00 degrees
Fractional coordinates of all 16 atoms:
Nd (0.193, 0.045, 0.299)
Nd (0.193, 0.455, 0.799)
Nd (0.807, 0.545, 0.201)
Nd (0.807, 0.955, 0.701)
Cu (0.431, 0.660, 0.454)
Cu (0.431, 0.840, 0.954)
Cu (0.569, 0.160, 0.046)
Cu (0.569, 0.340, 0.546)
Se (0.081, 0.724, 0.498)
Se (0.081, 0.776, 0.998)
Se (0.402, 0.112, 0.721)
Se (0.402, 0.388, 0.221)
Se (0.598, 0.612, 0.779)
Se (0.598, 0.888, 0.279)
Se (0.919, 0.224, 0.002)
Se (0.919, 0.276, 0.502)

5.
A relaxed Nd3CuSiSe7 crystal. Source: Materials Project, functional PBE.

Summary:
**Space group**: P6_3, No. 173
**Formation enthalpy at 0 K**: -19.59 eV per formula unit

Cell lengths 10.619, 10.619, 6.082 Å; angles 90.00, 90.00, 120.00 degrees
Fractional coordinates of all 24 atoms:
Nd (0.127, 0.356, 0.000)
Nd (0.229, 0.873, 0.000)
Nd (0.356, 0.229, 0.500)
Nd (0.644, 0.771, 0.000)
Nd (0.771, 0.127, 0.500)
Nd (0.873, 0.644, 0.500)
Cu (0.000, 0.000, 0.472)
Cu (0.000, 0.000, 0.972)
Si (0.333, 0.667, 0.587)
Si (0.667, 0.333, 0.087)
Se (0.091, 0.256, 0.486)
Se (0.105, 0.584, 0.734)
Se (0.165, 0.909, 0.486)
Se (0.256, 0.165, 0.986)
Se (0.333, 0.667, 0.214)
Se (0.416, 0.521, 0.734)
Se (0.479, 0.895, 0.734)
Se (0.521, 0.105, 0.234)
Se (0.584, 0.479, 0.234)
Se (0.667, 0.333, 0.714)
Se (0.744, 0.835, 0.486)
Se (0.835, 0.091, 0.986)
Se (0.895, 0.416, 0.234)
Se (0.909, 0.744, 0.986)

6.
A relaxed NdCuSn crystal. Source: Materials Project, functional PBE.

Summary:
**Space group**: P6_3/mmc, No. 194
**Formation enthalpy at 0 K**: -1.72 eV per formula unit

Cell lengths 4.580, 4.580, 7.833 Å; angles 90.00, 90.00, 120.00 degrees
Fractional coordinates of all 6 atoms:
Nd (0.000, 0.000, 0.000)
Nd (0.000, 0.000, 0.500)
Cu (0.333, 0.667, 0.250)
Cu (0.667, 0.333, 0.750)
Sn (0.333, 0.667, 0.750)
Sn (0.667, 0.333, 0.250)

7.
A relaxed NdCu5Sn crystal. Source: Materials Project, functional PBE.

Summary:
**Space group**: Pnma, No. 62
**Formation enthalpy at 0 K**: -1.74 eV per formula unit

Cell lengths 8.351, 5.095, 10.679 Å; angles 90.00, 90.00, 90.00 degrees
Fractional coordinates of all 28 atoms:
Nd (0.244, 0.250, 0.062)
Nd (0.256, 0.750, 0.562)
Nd (0.744, 0.250, 0.438)
Nd (0.756, 0.750, 0.938)
Cu (0.059, 0.750, 0.105)
Cu (0.065, 0.000, 0.313)
Cu (0.065, 0.500, 0.313)
Cu (0.087, 0.250, 0.517)
Cu (0.185, 0.250, 0.747)
Cu (0.315, 0.750, 0.247)
Cu (0.413, 0.750, 0.017)
Cu (0.435, 0.000, 0.813)
Cu (0.435, 0.500, 0.813)
Cu (0.441, 0.250, 0.605)
Cu (0.559, 0.750, 0.395)
Cu (0.565, 0.000, 0.187)
Cu (0.565, 0.500, 0.187)
Cu (0.587, 0.250, 0.983)
Cu (0.685, 0.250, 0.753)
Cu (0.815, 0.750, 0.253)
Cu (0.913, 0.750, 0.483)
Cu (0.935, 0.000, 0.687)
Cu (0.935, 0.500, 0.687)
Cu (0.941, 0.250, 0.895)
Sn (0.142, 0.750, 0.861)
Sn (0.358, 0.250, 0.361)
Sn (0.642, 0.750, 0.639)
Sn (0.858, 0.250, 0.139)

8.
A relaxed NdCuSn crystal. Source: Materials Project, functional PBE.

Summary:
**Space group**: P6_3mc, No. 186
**Formation enthalpy at 0 K**: -1.76 eV per formula unit

Cell lengths 4.621, 4.621, 7.635 Å; angles 90.00, 90.00, 120.00 degrees
Fractional coordinates of all 6 atoms:
Nd (0.000, 0.000, 0.000)
Nd (0.000, 0.000, 0.500)
Cu (0.333, 0.667, 0.307)
Cu (0.667, 0.333, 0.807)
Sn (0.333, 0.667, 0.732)
Sn (0.667, 0.333, 0.232)

9.
A relaxed Nd3Cu4Sn4 crystal. Source: Materials Project, functional PBE.

Summary:
**Space group**: Immm, No. 71
**Formation enthalpy at 0 K**: -5.84 eV per formula unit

Cell lengths 8.631, 8.631, 8.631 Å; angles 149.21, 132.01, 58.11 degrees
Fractional coordinates of all 11 atoms:
Nd (0.000, 0.000, 0.000)
Nd (0.367, 0.867, 0.500)
Nd (0.633, 0.133, 0.500)
Cu (0.016, 0.332, 0.684)
Cu (0.352, 0.668, 0.684)
Cu (0.648, 0.332, 0.316)
Cu (0.984, 0.668, 0.316)
Sn (0.216, 0.216, 0.000)
Sn (0.299, 0.500, 0.799)
Sn (0.701, 0.500, 0.201)
Sn (0.784, 0.784, 0.000)

10.
A relaxed Nd2CuTe4 crystal. Source: Materials Project, functional PBE.

Summary:
**Space group**: P2_1, No. 4
**Formation enthalpy at 0 K**: -9.00 eV per formula unit

Cell lengths 6.526, 8.388, 7.684 Å; angles 90.00, 90.13, 90.00 degrees
Fractional coordinates of all 14 atoms:
Nd (0.000, 0.000, 0.226)
Nd (0.000, 0.500, 0.774)
Nd (0.495, 0.887, 0.764)
Nd (0.505, 0.387, 0.236)
Cu (0.184, 0.648, 0.413)
Cu (0.816, 0.148, 0.587)
Te (0.015, 0.858, 0.618)
Te (0.249, 0.694, 0.082)
Te (0.253, 0.194, 0.927)
Te (0.480, 0.536, 0.616)
Te (0.520, 0.036, 0.384)
Te (0.747, 0.694, 0.073)
Te (0.751, 0.194, 0.918)
Te (0.985, 0.358, 0.382)

11.
A relaxed CuNi3 crystal. Source: Materials Project, functional PBE.

Summary:
**Space group**: I4/mmm, No. 139
**Formation enthalpy at 0 K**: 0.13 eV per formula unit

Cell lengths 4.289, 4.289, 4.289 Å; angles 131.30, 131.30, 71.33 degrees
Fractional coordinates of all 4 atoms:
Cu (0.000, 0.000, 0.000)
Ni (0.250, 0.750, 0.500)
Ni (0.500, 0.500, 0.000)
Ni (0.750, 0.250, 0.500)

12.
A relaxed CuNi crystal. Source: Materials Project, functional PBE.

Summary:
**Space group**: P-6m2, No. 187
**Formation enthalpy at 0 K**: 0.06 eV per formula unit

Cell lengths 2.500, 2.500, 4.144 Å; angles 90.00, 90.00, 120.00 degrees
Fractional coordinates of all 2 atoms:
Cu (0.000, 0.000, 0.000)
Ni (0.667, 0.333, 0.500)